Te2MoWSe2 | PBE | optimized geometry

Cell lengths 3.4400, 3.4400, 14.5767 Å; angles 90.00, 90.00, 120.00 degrees
With the nearest neighbours (Å) after each atom.
Element x y z (fractional)
Te1 0.3333 0.6667 0.6291  3 Mo 2.73
Te2 0.6667 0.3333 0.3714  3 W 2.73
Mo1 0.6667 0.3333 0.7572  3 Se 2.56, 3 Te 2.73
W1 0.3333 0.6667 0.2428  3 Se 2.57, 3 Te 2.73
Se1 0.6667 0.3333 0.1312  3 W 2.57
Se2 0.3333 0.6667 0.8683  3 Mo 2.56

Output
final energy = -6.5494 eV/atom
E above lowest polymorph = 18 meV/atom
formation enthalpy at 0 K = -0.526 eV/atom



TeMoWSe3 | PBE | optimized geometry

Cell lengths 3.3830, 3.3830, 38.4739 Å; angles 90.00, 90.00, 120.00 degrees
With the nearest neighbours (Å) after each atom.
Element x y z (fractional)
Te1 0.3333 0.6667 0.7067  3 W 2.72
Te2 0.3333 0.6667 0.6084  3 W 2.72
Mo1 0.3333 0.6667 0.4696  6 Se 2.56
Mo2 0.6667 0.3333 0.2818  6 Se 2.56
W1 0.3333 0.6667 0.0939  6 Se 2.56
W2 0.6667 0.3333 0.6576  6 Te 2.72
Se1 0.3333 0.6667 0.3248  3 Mo 2.56
Se2 0.6667 0.3333 0.0508  3 W 2.56
Se3 0.6667 0.3333 0.4267  3 Mo 2.56
Se4 0.6667 0.3333 0.1371  3 W 2.56
Se5 0.6667 0.3333 0.5126  3 Mo 2.56
Se6 0.3333 0.6667 0.2388  3 Mo 2.56

Output
final energy = -6.7128 eV/atom
E above lowest polymorph = 20 meV/atom
formation enthalpy at 0 K = -0.710 eV/atom



Te2MoWSe2 | PBE | optimized geometry

Cell lengths 3.4430, 3.4430, 39.1154 Å; angles 90.00, 90.00, 120.00 degrees
With the nearest neighbours (Å) after each atom.
Element x y z (fractional)
Te1 0.0000 0.0000 0.3294  3 W 2.72
Te2 0.0000 0.0000 0.7052  3 W 2.72
Te3 0.0000 0.0000 0.2341  3 W 2.73
Te4 0.0000 0.0000 0.6099  3 W 2.73
Mo1 0.0000 0.0000 0.0939  6 Se 2.57
Mo2 0.0000 0.0000 0.4697  6 Se 2.57
W1 0.3333 0.6667 0.2818  6 Te 2.72-2.73
W2 0.3333 0.6667 0.6575  6 Te 2.72-2.73
Se1 0.3333 0.6667 0.0521  3 Mo 2.57
Se2 0.3333 0.6667 0.4279  3 Mo 2.57
Se3 0.3333 0.6667 0.1357  3 Mo 2.57
Se4 0.3333 0.6667 0.5115  3 Mo 2.57

Output
final energy = -6.5284 eV/atom
E above lowest polymorph = 39 meV/atom
formation enthalpy at 0 K = -0.505 eV/atom



Te4MoW3Se4 | PBE | optimized geometry

Cell lengths 3.4378, 3.4378, 39.1638 Å; angles 90.00, 90.00, 120.00 degrees
With the nearest neighbours (Å) after each atom.
Element x y z (fractional)
Te1 0.0000 0.0000 0.7052  3 W 2.73
Te2 0.3333 0.6667 0.0466  3 Mo 2.72
Te3 0.3333 0.6667 0.1413  3 Mo 2.72
Te4 0.0000 0.0000 0.6098  3 W 2.73
Mo1 0.0000 0.0000 0.0939  6 Te 2.72
W1 0.0000 0.0000 0.4696  6 Se 2.58
W2 0.3333 0.6667 0.2818  6 Se 2.58
W3 0.3333 0.6667 0.6575  6 Te 2.73
Se1 0.0000 0.0000 0.3238  3 W 2.58
Se2 0.3333 0.6667 0.4277  3 W 2.58
Se3 0.3333 0.6667 0.5116  3 W 2.58
Se4 0.0000 0.0000 0.2398  3 W 2.58

Output
final energy = -6.6945 eV/atom
E above lowest polymorph = 0 meV/atom
formation enthalpy at 0 K = -0.495 eV/atom



Te2MoWSe2 | PBE | optimized geometry

Cell lengths 3.4390, 3.4390, 39.1078 Å; angles 90.00, 90.00, 120.00 degrees
With the nearest neighbours (Å) after each atom.
Element x y z (fractional)
Te1 0.0000 0.0000 0.7052  3 W 2.72
Te2 0.3333 0.6667 0.0465  3 Mo 2.72
Te3 0.3333 0.6667 0.1414  3 Mo 2.72
Te4 0.0000 0.0000 0.6098  3 W 2.73
Mo1 0.0000 0.0000 0.0939  6 Te 2.72
Mo2 0.3333 0.6667 0.2818  6 Se 2.57
W1 0.0000 0.0000 0.4696  6 Se 2.58
W2 0.3333 0.6667 0.6576  6 Te 2.72-2.73
Se1 0.0000 0.0000 0.3237  3 Mo 2.57
Se2 0.3333 0.6667 0.4277  3 W 2.58
Se3 0.3333 0.6667 0.5116  3 W 2.58
Se4 0.0000 0.0000 0.2400  3 Mo 2.57

Output
final energy = -6.5477 eV/atom
E above lowest polymorph = 20 meV/atom
formation enthalpy at 0 K = -0.525 eV/atom



Te2MoWSe2 | PBE | optimized geometry

Cell lengths 3.4387, 3.4387, 39.1163 Å; angles 90.00, 90.00, 120.00 degrees
With the nearest neighbours (Å) after each atom.
Element x y z (fractional)
Te1 0.3333 0.6667 0.0465  3 Mo 2.72
Te2 0.3333 0.6667 0.4220  3 W 2.72
Te3 0.3333 0.6667 0.1413  3 Mo 2.72
Te4 0.3333 0.6667 0.5174  3 W 2.73
Mo1 0.0000 0.0000 0.0939  6 Te 2.72
Mo2 0.3333 0.6667 0.2818  6 Se 2.57
W1 0.0000 0.0000 0.4696  6 Te 2.72-2.73
W2 0.3333 0.6667 0.6575  6 Se 2.58
Se1 0.0000 0.0000 0.3237  3 Mo 2.57
Se2 0.0000 0.0000 0.6995  3 W 2.58
Se3 0.0000 0.0000 0.2400  3 Mo 2.57
Se4 0.0000 0.0000 0.6156  3 W 2.58

Output
final energy = -6.5481 eV/atom
E above lowest polymorph = 19 meV/atom
formation enthalpy at 0 K = -0.525 eV/atom